1.
Below is a relaxed K2NbHgF6 crystal, with properties calculated at the PBE level.

Output
Electronic total energy (eV per atom): -4.87
Formation enthalpy at 0 K (eV per atom): -2.739
Density (g/cm3): 3.36

CIF file:
```
data_K2NbHgF6
_symmetry_space_group_name_H-M 'F m -3 m'
_symmetry_Int_Tables_number 225
_symmetry_space_group_name_Hall '-F 4 2 3'
_cell_length_a 9.8697
_cell_length_b 9.8697
_cell_length_c 9.8697
_cell_angle_alpha 90.00
_cell_angle_beta 90.00
_cell_angle_gamma 90.00
loop_
_atom_site_label
_atom_site_fract_x
_atom_site_fract_y
_atom_site_fract_z
K1 0.2500 0.2500 0.2500
Nb1 0.0000 0.0000 0.0000
Hg1 0.0000 0.0000 0.5000
F1 0.0000 0.0000 0.2037
```

2.
Below is a relaxed K2HgRhF6 crystal, with properties calculated at the PBE level.

Output
Electronic total energy (eV per atom): -4.03
Formation enthalpy at 0 K (eV per atom): -2.175
Density (g/cm3): 4.60

CIF file:
```
data_K2HgRhF6
_symmetry_space_group_name_H-M 'F m -3 m'
_symmetry_Int_Tables_number 225
_symmetry_space_group_name_Hall '-F 4 2 3'
_cell_length_a 8.9473
_cell_length_b 8.9473
_cell_length_c 8.9473
_cell_angle_alpha 90.00
_cell_angle_beta 90.00
_cell_angle_gamma 90.00
loop_
_atom_site_label
_atom_site_fract_x
_atom_site_fract_y
_atom_site_fract_z
K1 0.2500 0.2500 0.2500
Hg1 0.0000 0.0000 0.0000
Rh1 0.0000 0.0000 0.5000
F1 0.0000 0.0000 0.2712
```

3.
Below is a relaxed K2TiHgF6 crystal, with properties calculated at the PBE level.

Output
Electronic total energy (eV per atom): -4.96
Formation enthalpy at 0 K (eV per atom): -3.046
Density (g/cm3): 3.29

CIF file:
```
data_K2TiHgF6
_symmetry_space_group_name_H-M 'F m -3 m'
_symmetry_Int_Tables_number 225
_symmetry_space_group_name_Hall '-F 4 2 3'
_cell_length_a 9.6138
_cell_length_b 9.6138
_cell_length_c 9.6138
_cell_angle_alpha 90.00
_cell_angle_beta 90.00
_cell_angle_gamma 90.00
loop_
_atom_site_label
_atom_site_fract_x
_atom_site_fract_y
_atom_site_fract_z
K1 0.2500 0.2500 0.2500
Ti1 0.0000 0.0000 0.0000
Hg1 0.0000 0.0000 0.5000
F1 0.0000 0.0000 0.1968
```

4.
Below is a relaxed Hg2Te4Kr3O4F26 crystal, with properties calculated at the PBE level.

Output
Electronic total energy (eV per atom): -3.46
Formation enthalpy at 0 K (eV per atom): -1.709
Density (g/cm3): 3.94

CIF file:
```
data_Hg2Te4Kr3O4F26
_symmetry_space_group_name_H-M 'P 1 21/c 1'
_symmetry_Int_Tables_number 14
_cell_length_a 9.2072
_cell_length_b 18.0839
_cell_length_c 10.2263
_cell_angle_alpha 90.00
_cell_angle_beta 121.55
_cell_angle_gamma 90.00
loop_
_symmetry_equiv_pos_as_xyz
'x,y,z'
'-x,-y,-z'
'-x,y+1/2,-z+1/2'
'x,-y+1/2,z+1/2'
loop_
_atom_site_label
_atom_site_fract_x
_atom_site_fract_y
_atom_site_fract_z
Hg1 0.0630 0.1095 0.0227
Te1 0.1668 0.5499 0.8636
Te2 0.3387 0.2472 0.7654
Kr1 0.1558 0.6871 0.2368
Kr2 0.5000 0.0000 0.0000
O1 0.0606 0.5318 0.6511
O2 0.1735 0.1789 0.2106
F1 0.0394 0.0450 0.6393
F2 0.1405 0.6536 0.8424
F3 0.1456 0.7370 0.5995
F4 0.1678 0.6100 0.3745
F5 0.1990 0.0519 0.4051
F6 0.2152 0.1962 0.5767
F7 0.2337 0.1886 0.8465
F8 0.2745 0.5651 0.0768
F9 0.3548 0.0354 0.0722
F10 0.3833 0.5574 0.8890
F11 0.4625 0.2013 0.1945
F12 0.4822 0.2128 0.4615
F13 0.4994 0.1705 0.8262
```

Which value of electronic total energy does entry 1 give?
-4.87 eV per atom

Which of these has the highest density?
K2HgRhF6

Among the records above, which one has the highest electronic total energy?
Hg2Te4Kr3O4F26